# 1
## InRh (r²SCAN)

Data for crystalline InRh at its relaxed geometry.

```
InRh
1.0
3.2097 0.0000 0.0000
0.0000 3.2097 0.0000
0.0000 0.0000 3.2097
In Rh
1 1
direct
0.0000 0.0000 0.0000
0.5000 0.5000 0.5000
```

Computed properties:
- Total magnetic moment: 0.000 μB per formula unit
- Total energy: -47.71 eV/f.u.

# 2
## Sc5In4Rh2 (r²SCAN)

Data for crystalline Sc5In4Rh2 at its relaxed geometry.

```
Sc5In4Rh2
1.0
-0.3176 3.2282 0.6989
-1.7204 -1.7513 7.3072
17.1164 0.7714 4.2146
In Sc Rh
8 10 4
direct
0.5000 0.2967 0.0673
0.5000 0.4312 0.3501
0.5000 0.7033 0.9327
0.5000 0.2033 0.5673
0.5000 0.5688 0.6499
0.5000 0.7967 0.4327
0.5000 0.0688 0.8501
0.5000 0.9312 0.1499
0.0000 0.2452 0.7209
0.0000 0.0000 0.0000
0.0000 0.8749 0.5857
0.0000 0.7548 0.2791
0.0000 0.1251 0.4143
0.0000 0.3749 0.9143
0.0000 0.7452 0.7791
0.0000 0.6251 0.0857
0.0000 0.2548 0.2209
0.0000 0.5000 0.5000
0.5000 0.0364 0.3058
0.5000 0.5364 0.1942
0.5000 0.9636 0.6942
0.5000 0.4636 0.8058
```

Computed properties:
- Total magnetic moment: 0.359 μB per formula unit
- Total energy: -203.98 eV/f.u.

# 3
## SmIn5Rh (r²SCAN)

Data for crystalline SmIn5Rh at its relaxed geometry.

```
SmIn5Rh
1.0
-4.5692 0.1565 -0.8664
0.8207 -0.9013 -4.4907
-0.5148 -7.3672 1.3845
In Sm Rh
5 1 1
direct
0.5000 0.0000 0.6963
0.5000 0.0000 0.3037
0.0000 0.5000 0.6963
0.0000 0.5000 0.3037
0.5000 0.5000 0.0000
0.0000 0.0000 0.0000
0.0000 0.0000 0.5000
```

Computed properties:
- Total magnetic moment: 0.000 μB per formula unit
- Total energy: -170.72 eV/f.u.

# 4
## SmInRh2 (r²SCAN)

Data for crystalline SmInRh2 at its relaxed geometry.

```
SmInRh2
1.0
-4.3646 -1.7966 0.0063
-3.6713 2.7216 1.1804
-3.1095 1.3349 -3.3016
Rh In Sm
2 1 1
direct
0.9997 0.9999 0.0001
0.5003 0.5001 0.4999
0.2500 0.2500 0.2500
0.7500 0.7500 0.7500
```

Computed properties:
- Total magnetic moment: 0.000 μB per formula unit
- Total energy: -103.53 eV/f.u.

# 5
## SrIn2Rh (r²SCAN)

Data for crystalline SrIn2Rh at its relaxed geometry.

```
SrIn2Rh
1.0
-2.3479 -2.7742 -2.4488
5.3118 1.0296 -2.3379
3.0279 -6.2179 4.1410
Rh In Sr
2 4 2
direct
0.7833 0.5666 0.7500
0.2167 0.4334 0.2500
0.3427 0.6855 0.5538
0.6573 0.3145 0.4462
0.3427 0.6855 0.9462
0.6573 0.3145 0.0538
0.0592 0.1185 0.7500
0.9408 0.8815 0.2500
```

Computed properties:
- Total magnetic moment: 0.000 μB per formula unit
- Total energy: -86.81 eV/f.u.

# 6
## Sr2In3Rh2 (r²SCAN)

Data for crystalline Sr2In3Rh2 at its relaxed geometry.

```
Sr2In3Rh2
1.0
4.1212 0.0000 1.1788
1.6336 5.3010 2.0824
-0.0077 -0.0194 7.8203
In Rh Sr
3 2 2
direct
0.6428 0.1572 0.5572
0.3572 0.8428 0.4428
0.5000 0.0000 0.0000
0.8734 0.0466 0.2067
0.1266 0.9534 0.7933
0.1440 0.4871 0.2250
0.8560 0.5129 0.7750
```

Computed properties:
- Total magnetic moment: 0.000 μB per formula unit
- Total energy: -150.25 eV/f.u.

# 7
## TbInRh (r²SCAN)

Data for crystalline TbInRh at its relaxed geometry.

```
TbInRh
1.0
7.4724 0.0000 0.0000
-3.7362 6.4713 0.0000
0.0000 0.0000 3.9432
Rh Tb In
3 3 3
direct
0.6667 0.3333 0.0000
0.3333 0.6667 0.0000
0.0000 0.0000 0.5000
0.5928 0.0000 0.5000
0.4072 0.4072 0.5000
0.0000 0.5928 0.5000
0.2550 0.0000 0.0000
0.7450 0.7450 0.0000
0.0000 0.2550 0.0000
```

Computed properties:
- Total magnetic moment: 0.000 μB per formula unit
- Total energy: -80.50 eV/f.u.

# 8
## TbInRh2 (r²SCAN)

Data for crystalline TbInRh2 at its relaxed geometry.

```
TbInRh2
1.0
0.0000 3.3050 3.3050
3.3050 0.0000 3.3050
3.3050 3.3050 0.0000
Tb In Rh
1 1 2
direct
0.0000 0.0000 0.0000
0.5000 0.5000 0.5000
0.2500 0.2500 0.2500
0.7500 0.7500 0.7500
```

Computed properties:
- Total magnetic moment: 0.000 μB per formula unit
- Total energy: -105.37 eV/f.u.